AlS2NCl4 after structural relaxation. Source: the Materials Project, functional GGA-PBE.

```
32
Lattice="11.478 0.000 0.000 0.000 7.588 0.000 0.000 0.000 10.936" Properties=species:S:1:pos:R:3 pbc="T T T"
Al 1.230 1.897 2.195
Al 4.509 5.691 7.663
Al 6.969 1.897 3.273
Al 10.248 5.691 8.741
S 1.460 1.897 9.175
S 1.871 1.897 6.204
S 3.868 5.691 0.736
S 4.279 5.691 3.707
S 7.199 1.897 7.229
S 7.610 1.897 10.201
S 9.607 5.691 4.732
S 10.018 5.691 1.761
N 1.676 1.897 7.693
N 4.063 5.691 2.225
N 7.415 1.897 8.712
N 9.802 5.691 3.244
Cl 0.486 5.691 10.054
Cl 1.233 0.153 3.467
Cl 1.233 3.641 3.467
Cl 2.730 5.691 6.433
Cl 3.009 1.897 0.965
Cl 4.506 3.947 8.935
Cl 4.506 7.435 8.935
Cl 5.253 1.897 4.586
Cl 6.225 5.691 6.350
Cl 6.972 0.153 2.001
Cl 6.972 3.641 2.001
Cl 8.469 5.691 9.971
Cl 8.748 1.897 4.503
Cl 10.245 3.947 7.469
Cl 10.245 7.435 7.469
Cl 10.992 1.897 0.882
```

DFT formation energy in eV per formula unit: -8.13
SG: Pnma